VASP calculation (PBE) on a relaxed TiP2O7 crystal.

abc: 8.6930 6.9002 9.6265
angles: 74.11 90.00 90.00
Closest atoms and distances in Å follow each position.
Positions (direct):
1 Ti 0.0777 0.7012 0.2002  5 O 1.85-2.01
2 Ti 0.4223 0.7012 0.7002  5 O 1.85-2.01
3 Ti 0.5777 0.2988 0.2998  5 O 1.85-2.01
4 Ti 0.9223 0.2988 0.7998  5 O 1.85-2.01
5 P 0.7171 0.5263 0.5369  4 O 1.52-1.57
6 P 0.2491 0.1064 0.2324  4 O 1.46-1.64
7 P 0.7491 0.8936 0.2676  4 O 1.46-1.64
8 P 0.2509 0.1064 0.7324  4 O 1.46-1.64
9 P 0.7829 0.5263 0.0369  4 O 1.52-1.57
10 P 0.7509 0.8936 0.7676  4 O 1.46-1.64
11 P 0.2171 0.4737 0.9631  4 O 1.52-1.57
12 P 0.2829 0.4737 0.4631  4 O 1.52-1.57
13 O 0.1282 0.5326 0.3789  1 P 1.57
14 O 0.2373 0.2594 0.0697  2 P 1.56-1.64
15 O 0.2721 0.8993 0.6975  1 P 1.57
16 O 0.0770 0.1234 0.7715  1 P 1.57
17 O 0.8718 0.4674 0.6211  1 P 1.57
18 O 0.7627 0.7406 0.9303  2 P 1.56-1.64
19 O 0.1912 0.6297 0.0480  1 P 1.54
20 O 0.9108 0.5374 0.1424  1 P 1.52
21 O 0.5770 0.8766 0.7285  1 P 1.57
22 O 0.6912 0.3703 0.4520  1 P 1.54
23 O 0.3718 0.5326 0.8789  1 P 1.57
24 O 0.8627 0.8474 0.6674  1 P 1.46
25 O 0.6282 0.4674 0.1211  1 P 1.57
26 O 0.7279 0.1007 0.3025  1 P 1.57
27 O 0.4108 0.4626 0.3576  1 P 1.52
28 O 0.8088 0.3703 0.9520  1 P 1.54
29 O 0.9230 0.8766 0.2285  1 P 1.57
30 O 0.2279 0.8993 0.1975  1 P 1.57
31 O 0.1373 0.1526 0.3326  1 P 1.46
32 O 0.5892 0.5374 0.6424  1 P 1.52
33 O 0.2627 0.2594 0.5697  2 P 1.56-1.64
34 O 0.3088 0.6297 0.5480  1 P 1.54
35 O 0.0892 0.4626 0.8576  1 P 1.52
36 O 0.4230 0.1234 0.2715  1 P 1.57
37 O 0.7373 0.7406 0.4303  2 P 1.56-1.64
38 O 0.6373 0.8474 0.1674  1 P 1.46
39 O 0.7721 0.1007 0.8025  1 P 1.57
40 O 0.3627 0.1526 0.8326  1 P 1.46

Calculated values
- VASP energy (eV per atom) = -7.689
- formation energy (meV per atom) = -2834
- symmetry = P2_1/c, No. 14